The following is a PBE calculation of crystalline Cu2O3 at its relaxed geometry, from Materials Project.

Cell lengths 2.9670, 9.7712, 14.8182 Å; angles 90.00, 90.00, 90.00 degrees
Space group Cmcm (No. 63)
Inequivalent atoms, fractional coordinates:
Cu: 0.0000 0.0940 0.1365
Cu: 0.0000 0.3641 0.0452
O: 0.0000 0.0000 0.0000
O: 0.0000 0.1749 0.2500
O: 0.0000 0.2820 0.5755
O: 0.0000 0.4672 0.1507

* energy of formation: -652 meV/atom
* calculated total energy: -4.848 eV per atom